(1)
SmErO3: relaxed, PBE.

a b c (Å): 6.0002 8.4291 5.7432
angles (deg): 90.00 90.00 90.00
With the nearest neighbours (Å) after each atom.
Space group Pnma (No. 62)
Inequivalent atoms, fractional coordinates:
Sm 0.0522 0.2500 0.0176 (multiplicity 4)  4 O 2.29-2.43
Er 0.0000 0.0000 0.5000 (multiplicity 4)  6 O 2.22-2.30
O 0.0718 0.7500 0.3602 (multiplicity 4)  2 Sm 2.29-2.43, 2 Er 2.30
O 0.1903 0.5738 0.8127 (multiplicity 8)  2 Er 2.22-2.24, 1 Sm 2.30

Output
size of the total moment	0.000	μB/atom


(2)
Er2Sn2O7: relaxed, PBE.

a b c (Å): 10.4475 10.4475 10.4475
angles (deg): 90.00 90.00 90.00
With the nearest neighbours (Å) after each atom.
Space group Fd-3m (No. 227, origin choice 2)
Inequivalent atoms, fractional coordinates:
Er 0.0000 0.0000 0.0000 (multiplicity 16)  8 O 2.26-2.49
Sn 0.0000 0.0000 0.5000 (multiplicity 16)  6 O 2.08
O 0.0906 0.3750 0.8750 (multiplicity 48)  2 Sn 2.08
O 0.1250 0.1250 0.1250 (multiplicity 8)  4 Er 2.26


(3)
Sr2ErTaO6: relaxed, PBE.

a b c (Å): 5.8205 5.9189 10.1104
angles (deg): 90.00 125.02 90.00
With the nearest neighbours (Å) after each atom.
Space group P2_1/c (No. 14)
Inequivalent atoms, fractional coordinates:
Sr 0.2426 0.0371 0.2513 (multiplicity 4)  6 O 2.54-2.82
Er 0.5000 0.0000 0.0000 (multiplicity 2)  6 O 2.24
Ta 0.0000 0.0000 0.5000 (multiplicity 2)  6 O 2.01-2.02
O 0.1543 0.2265 0.9563 (multiplicity 4)  1 Ta 2.02, 1 Er 2.24
O 0.2354 0.6990 0.9612 (multiplicity 4)  1 Ta 2.01, 1 Er 2.24
O 0.3136 0.0232 0.7359 (multiplicity 4)  1 Ta 2.01, 1 Er 2.24

Output
size of the total moment	0.000	μB/atom


(4)
Sr2ErUO6: relaxed, PBE.

a b c (Å): 8.6566 8.6566 8.6566
angles (deg): 90.00 90.00 90.00
With the nearest neighbours (Å) after each atom.
Space group Fm-3m (No. 225)
Inequivalent atoms, fractional coordinates:
Sr 0.2500 0.2500 0.2500 (multiplicity 8)  12 O 3.06
Er 0.0000 0.0000 0.0000 (multiplicity 4)  6 O 2.19
U 0.0000 0.0000 0.5000 (multiplicity 4)  6 O 2.13
O 0.0000 0.0000 0.2535 (multiplicity 24)  1 U 2.13, 1 Er 2.19

Output
size of the total moment	0.100	μB/atom


(5)
ErTa3O9: relaxed, PBE.

a b c (Å): 6.4713 7.6400 12.6108
angles (deg): 90.00 90.00 90.00
With the nearest neighbours (Å) after each atom.
Space group Pnma (No. 62)
Inequivalent atoms, fractional coordinates:
Er 0.0552 0.2500 0.0380 (multiplicity 4)  7 O 2.33-2.59
Ta 0.0000 0.0000 0.5000 (multiplicity 4)  6 O 1.98-2.01
Ta 0.2075 0.0027 0.7868 (multiplicity 8)  6 O 1.94-2.15
O 0.0177 0.0413 0.6570 (multiplicity 8)  3 Ta 2.01-2.15
O 0.0827 0.7500 0.5249 (multiplicity 4)  2 Ta 2.01
O 0.1005 0.0349 0.1666 (multiplicity 8)  2 Ta 1.98-2.10
O 0.1700 0.2500 0.8286 (multiplicity 4)  2 Ta 1.98
O 0.2048 0.7500 0.8016 (multiplicity 4)  2 Ta 1.94
O 0.2061 0.5378 0.9631 (multiplicity 8)  1 Ta 1.98

Output
size of the total moment	0.000	μB/atom


(6)
ErTaO3: relaxed, PBE.

a b c (Å): 4.0229 4.0229 4.0229
angles (deg): 90.00 90.00 90.00
With the nearest neighbours (Å) after each atom.
Space group Pm-3m (No. 221)
Inequivalent atoms, fractional coordinates:
Er 0.0000 0.0000 0.0000 (multiplicity 1)  12 O 2.84
Ta 0.5000 0.5000 0.5000 (multiplicity 1)  6 O 2.01
O 0.0000 0.5000 0.5000 (multiplicity 3)  2 Ta 2.01

Output
size of the total moment	0.000	μB/atom


Number 1: electronic total energy -166.3 eV/cell. Number 2: electronic total energy -642.6 eV/cell. Number 3: electronic total energy -163.2 eV/cell. Number 4: electronic total energy -323.3 eV/cell. Number 5: electronic total energy -495.6 eV/cell. Number 6: electronic total energy -43.1 eV/cell.